No. 1
Compound: Fe3P3O11
Source: the Materials Project
Functional: GGA+U
Structure: relaxed

Results
Crystal system: monoclinic
Space group: P2_1/c, No. 14

Cell: 9.7330 9.7372 10.5540 Å, 90.00 119.97 90.00°
Fractional coordinates of all 68 atoms:
Fe 0.0813 0.1293 0.2672
Fe 0.0813 0.3707 0.7672
Fe 0.1117 0.6371 0.6227
Fe 0.1117 0.8629 0.1227
Fe 0.2717 0.1240 0.6328
Fe 0.2717 0.3760 0.1328
Fe 0.7283 0.6240 0.8672
Fe 0.7283 0.8760 0.3672
Fe 0.8883 0.1371 0.8773
Fe 0.8883 0.3629 0.3773
Fe 0.9187 0.6293 0.2328
Fe 0.9187 0.8707 0.7328
P 0.1058 0.6614 0.9383
P 0.1058 0.8386 0.4383
P 0.2362 0.0853 0.9285
P 0.2362 0.4147 0.4285
P 0.4061 0.0713 0.2418
P 0.4061 0.4287 0.7418
P 0.5939 0.5713 0.2582
P 0.5939 0.9287 0.7582
P 0.7638 0.5853 0.5715
P 0.7638 0.9147 0.0715
P 0.8942 0.1614 0.5617
P 0.8942 0.3386 0.0617
O 0.0594 0.2140 0.5819
O 0.0594 0.2860 0.0819
O 0.0833 0.0147 0.9136
O 0.0833 0.4853 0.4136
O 0.1017 0.7239 0.8002
O 0.1017 0.7761 0.3002
O 0.1207 0.5022 0.9432
O 0.1207 0.9978 0.4432
O 0.2321 0.2430 0.9462
O 0.2321 0.2570 0.4462
O 0.2323 0.7251 0.0811
O 0.2323 0.7749 0.5811
O 0.2573 0.0227 0.2471
O 0.2573 0.4773 0.7471
O 0.2647 0.0416 0.8056
O 0.2647 0.4584 0.3056
O 0.3783 0.0290 0.0803
O 0.3783 0.4710 0.5803
O 0.4150 0.2275 0.2529
O 0.4150 0.2725 0.7529
O 0.4468 0.0075 0.6523
O 0.4468 0.4925 0.1523
O 0.5532 0.5075 0.8477
O 0.5532 0.9925 0.3477
O 0.5850 0.7275 0.2471
O 0.5850 0.7725 0.7471
O 0.6217 0.5290 0.4197
O 0.6217 0.9710 0.9197
O 0.7353 0.5416 0.6944
O 0.7353 0.9584 0.1944
O 0.7427 0.5227 0.2529
O 0.7427 0.9773 0.7529
O 0.7677 0.2251 0.4189
O 0.7677 0.2749 0.9189
O 0.7679 0.7430 0.5538
O 0.7679 0.7570 0.0538
O 0.8793 0.0022 0.5568
O 0.8793 0.4978 0.0568
O 0.8983 0.2239 0.6998
O 0.8983 0.2761 0.1998
O 0.9167 0.5147 0.5864
O 0.9167 0.9853 0.0864
O 0.9406 0.7140 0.9181
O 0.9406 0.7860 0.4181

***

No. 2
Compound: Fe2PO5
Source: the Materials Project
Functional: GGA+U
Structure: relaxed

Results
ΔE to the lowest computed polymorph (eV per formula unit): 0.00
Crystal system: monoclinic
Space group: C2/c, No. 15

Cell: 5.4401 5.4401 7.3279 Å, 111.45 111.45 90.16°
Fractional coordinates of all 16 atoms:
Fe 0.0000 0.0000 0.0000
Fe 0.0000 0.0000 0.5000
Fe 0.0000 0.5000 0.0000
Fe 0.5000 0.0000 0.5000
P 0.3728 0.6272 0.7500
P 0.6272 0.3728 0.2500
O 0.1080 0.8920 0.2500
O 0.2168 0.7085 0.8971
O 0.2915 0.7832 0.6029
O 0.3043 0.3199 0.6278
O 0.3199 0.3043 0.1278
O 0.6801 0.6957 0.8722
O 0.6957 0.6801 0.3722
O 0.7085 0.2168 0.3971
O 0.7832 0.2915 0.1029
O 0.8920 0.1080 0.7500

***

Energy of formation from the pure elements for the records above, in order: -2328, -2176 meV per atom